Entry 1:
# Nd3Ti4O12 | the Materials Project | PBE-GGA | relaxed
# E: -332.12 eV for the cell shown
# ΔE_f: -3633.9 meV per atom
# Offset from the most stable computed form: 0.74 eV/f.u.
# Volume: 473 Å³ per cell
data_Nd3Ti4O12
_cell_length_a 7.753
_cell_length_b 7.735
_cell_length_c 7.884
_cell_angle_alpha 90.00
_cell_angle_beta 90.00
_cell_angle_gamma 90.00
_symmetry_space_group_name_H-M 'A m m 2'
_symmetry_Int_Tables_number 38
loop_
_symmetry_equiv_pos_as_xyz
'x,y,z'
'-x,-y,z'
'-x,y,z'
'x,-y,z'
'x,y+1/2,z+1/2'
'-x,-y+1/2,z+1/2'
'-x,y+1/2,z+1/2'
'x,-y+1/2,z+1/2'
loop_
_atom_site_label
_atom_site_type_symbol
_atom_site_fract_x
_atom_site_fract_y
_atom_site_fract_z
Nd1 Nd 0.000 0.000 0.000
Nd2 Nd 0.000 0.000 0.492
Nd3 Nd 0.500 0.000 0.995
Ti1 Ti 0.257 0.250 0.243
O1 O 0.000 0.195 0.246
O2 O 0.190 0.000 0.740
O3 O 0.235 0.241 0.991
O4 O 0.290 0.000 0.225
O5 O 0.500 0.203 0.752

---

Entry 2:
# Nd3Ti4O12 | the Materials Project | PBE-GGA | relaxed
# E: -667.20 eV for the cell shown
# ΔE_f: -3672.7 meV per atom
# Offset from the most stable computed form: 0.00 eV/f.u.
# Volume: 937 Å³ per cell
data_Nd3Ti4O12
_cell_length_a 22.402
_cell_length_b 7.648
_cell_length_c 5.467
_cell_angle_alpha 90.00
_cell_angle_beta 90.00
_cell_angle_gamma 90.00
_symmetry_space_group_name_H-M 'P n m a'
_symmetry_Int_Tables_number 62
loop_
_symmetry_equiv_pos_as_xyz
'x,y,z'
'-x,-y,-z'
'-x+1/2,-y,z+1/2'
'x+1/2,y,-z+1/2'
'x+1/2,-y+1/2,-z+1/2'
'-x+1/2,y+1/2,z+1/2'
'-x,y+1/2,-z'
'x,-y+1/2,z'
loop_
_atom_site_label
_atom_site_type_symbol
_atom_site_fract_x
_atom_site_fract_y
_atom_site_fract_z
Nd1 Nd 0.028 0.250 0.046
Nd2 Nd 0.176 0.250 0.574
Nd3 Nd 0.203 0.750 0.558
Ti1 Ti 0.061 0.512 0.548
Ti2 Ti 0.177 0.501 0.059
O1 O 0.012 0.538 0.252
O2 O 0.062 0.750 0.661
O3 O 0.070 0.250 0.467
O4 O 0.113 0.061 0.864
O5 O 0.142 0.532 0.379
O6 O 0.185 0.750 0.997
O7 O 0.193 0.250 0.151
O8 O 0.237 0.040 0.796

---

Entry 3:
# Nd2TiO5 | the Materials Project | PBE-GGA | relaxed
# E: -276.04 eV for the cell shown
# ΔE_f: -3784.2 meV per atom
# Volume: 483 Å³ per cell
data_Nd2TiO5
_cell_length_a 10.825
_cell_length_b 3.858
_cell_length_c 11.556
_cell_angle_alpha 90.00
_cell_angle_beta 90.00
_cell_angle_gamma 90.00
_symmetry_space_group_name_H-M 'P n m a'
_symmetry_Int_Tables_number 62
loop_
_symmetry_equiv_pos_as_xyz
'x,y,z'
'-x,-y,-z'
'-x+1/2,-y,z+1/2'
'x+1/2,y,-z+1/2'
'x+1/2,-y+1/2,-z+1/2'
'-x+1/2,y+1/2,z+1/2'
'-x,y+1/2,-z'
'x,-y+1/2,z'
loop_
_atom_site_label
_atom_site_type_symbol
_atom_site_fract_x
_atom_site_fract_y
_atom_site_fract_z
Nd1 Nd 0.106 0.250 0.220
Nd2 Nd 0.138 0.250 0.556
Ti1 Ti 0.183 0.250 0.876
O1 O 0.009 0.750 0.604
O2 O 0.022 0.250 0.841
O3 O 0.223 0.250 0.036
O4 O 0.233 0.750 0.229
O5 O 0.237 0.750 0.878